Compound: Ti2AlCu
Source: the Materials Project
Functional: PBE
Structure: relaxed

Properties
mass density: 4.9 g cm⁻³
formation energy: -57 meV/atom
space-group type: No. 216

Cell: 4.4600 4.4600 4.4600 Å, 60.00 60.00 60.00°
Atoms (fractional coordinates):
Cu (0.5000, 0.5000, 0.5000)
Al (0.7500, 0.7500, 0.7500)
Ti (0.2500, 0.2500, 0.2500)
Ti (0.0000, 0.0000, 0.0000)